No. 1
Cu13Se8 PBE-GGA optimized geometry; E_tot = -3.920 eV per atom; energy relative to the elements = -0.230 eV per atom; crystal system = cubic; symmetry = F-43m, No. 216; corrected total energy (MP2020 scheme) = -4.10 eV/atom
1.0
3.7630 -2.2784 6.7971
3.0257 5.5860 5.0194
-3.4902 1.2980 7.1893
Cu Se
13 8
Direct
0.7468 0.2532 0.2532
0.2532 0.2532 0.7468
0.2532 0.7468 0.2532
0.7468 0.2532 0.7468
0.7468 0.7468 0.2532
0.2532 0.7468 0.7468
0.9958 0.5042 0.5042
0.5042 0.5042 0.9958
0.5042 0.9958 0.5042
0.9958 0.5042 0.9958
0.5042 0.9958 0.9958
0.9958 0.9958 0.5042
0.0000 0.0000 0.0000
0.1273 0.1273 0.1273
0.6182 0.1273 0.1273
0.1273 0.1273 0.6182
0.1273 0.6182 0.1273
0.6249 0.1252 0.6249
0.6249 0.6249 0.1252
0.1252 0.6249 0.6249
0.6249 0.6249 0.6249

---

No. 2
LiHfAu2 PBE-GGA optimized geometry; E_tot = -5.127 eV per atom; energy relative to the elements = -0.523 eV per atom; crystal system = cubic; symmetry = Fm-3m, No. 225
1.0
0.0000 3.2923 3.2923
3.2923 0.0000 3.2923
3.2923 3.2923 0.0000
Li Hf Au
1 1 2
Direct
0.0000 0.0000 0.0000
0.5000 0.5000 0.5000
0.7500 0.7500 0.7500
0.2500 0.2500 0.2500

---

No. 3
K3GaS3 PBE-GGA optimized geometry; E_tot = -3.797 eV per atom; energy relative to the elements = -1.332 eV per atom; crystal system = monoclinic; symmetry = P2_1/c, No. 14; corrected total energy (MP2020 scheme) = -4.01 eV/atom
1.0
-10.0028 7.7922 -1.2653
-3.6131 -5.3573 -4.4292
-6.2210 -7.4838 3.0921
K Ga S
12 4 12
Direct
0.9106 0.3415 0.3925
0.4106 0.6585 0.1075
0.0894 0.6585 0.6075
0.5894 0.3415 0.8925
0.1890 0.1379 0.5772
0.6890 0.8621 0.9228
0.8110 0.8621 0.4228
0.3110 0.1379 0.0772
0.6267 0.3817 0.4735
0.1267 0.6183 0.0265
0.3733 0.6183 0.5265
0.8733 0.3817 0.9735
0.9399 0.0657 0.8361
0.4399 0.9343 0.6639
0.0601 0.9343 0.1639
0.5601 0.0657 0.3361
0.3938 0.1555 0.3784
0.8938 0.8445 0.1216
0.6062 0.8445 0.6216
0.1062 0.1555 0.8784
0.6755 0.3454 0.1895
0.1755 0.6546 0.3105
0.3245 0.6546 0.8105
0.8245 0.3454 0.6895
0.5453 0.8742 0.2374
0.0453 0.1258 0.2626
0.4547 0.1258 0.7626
0.9547 0.8742 0.7374

---

No. 4
In2Ag PBE-GGA optimized geometry; E_tot = -2.699 eV per atom; energy relative to the elements = 0.080 eV per atom; crystal system = tetragonal; symmetry = I4/mcm, No. 140
1.0
-3.7496 3.7496 2.7456
3.7496 -3.7496 2.7456
3.7496 3.7496 -2.7456
In Ag
4 2
Direct
0.1490 0.6490 0.7981
0.6490 0.8510 0.5000
0.3510 0.1490 0.5000
0.8510 0.3510 0.2019
0.0000 0.0000 0.0000
0.5000 0.5000 0.0000

---

No. 5
Nd3Ni PBE-GGA optimized geometry; E_tot = -5.190 eV per atom; energy relative to the elements = -0.169 eV per atom; crystal system = orthorhombic; symmetry = Pnma, No. 62
1.0
-6.1982 -1.7393 1.2481
2.2811 -6.0423 2.9083
0.5361 4.5070 8.9433
Nd Ni
12 4
Direct
0.3213 0.6785 0.0656
0.1787 0.1785 0.4344
0.6787 0.3215 0.5656
0.8213 0.8215 0.9344
0.6787 0.3215 0.9344
0.8213 0.8215 0.5656
0.3213 0.6785 0.4344
0.1787 0.1785 0.0656
0.8624 0.5352 0.2500
0.6376 0.0352 0.2500
0.1376 0.4648 0.7500
0.3624 0.9648 0.7500
0.0644 0.8908 0.2500
0.4356 0.3908 0.2500
0.9356 0.1092 0.7500
0.5644 0.6092 0.7500

---

No. 6
LuGaO3 PBE-GGA optimized geometry; E_tot = -7.232 eV per atom; energy relative to the elements = -3.166 eV per atom; crystal system = orthorhombic; symmetry = Pnma, No. 62; corrected total energy (MP2020 scheme) = -7.64 eV/atom
1.0
-4.9480 -0.8245 -1.4006
1.6506 -3.9643 -3.4974
-0.7017 -5.1581 5.5156
Lu Ga O
4 4 12
Direct
0.0221 0.0716 0.7500
0.4779 0.5716 0.7500
0.5221 0.4284 0.2500
0.9779 0.9284 0.2500
0.0000 0.5000 0.5000
0.5000 0.0000 0.5000
0.5000 0.0000 0.0000
0.0000 0.5000 0.0000
0.1245 0.5488 0.2500
0.1903 0.8067 0.5633
0.1903 0.8067 0.9367
0.3097 0.3067 0.9367
0.3097 0.3067 0.5633
0.3755 0.0488 0.2500
0.6245 0.9512 0.7500
0.6903 0.6933 0.0633
0.6903 0.6933 0.4367
0.8097 0.1933 0.4367
0.8097 0.1933 0.0633
0.8755 0.4512 0.7500